V32N3: relaxed, r2SCAN.

Unit cell a=2.966 b=8.631 c=17.273 alpha=90.80 beta=90.00 gamma=90.00
Element x y z (fractional)
V  0.500  0.387  0.064
V  0.500  0.871  0.806
V  0.000  0.391  0.196
V  0.000  0.378  0.690
V  0.500  0.880  0.314
N  0.500  0.493  0.748
N  0.000  0.000  0.000
V  0.500  0.111  0.943
V  0.000  0.116  0.317
V  0.500  0.889  0.057
V  0.000  0.110  0.812
V  0.500  0.351  0.330
V  0.000  0.884  0.683
V  0.500  0.129  0.194
V  0.500  0.373  0.561
V  0.000  0.372  0.942
V  0.000  0.890  0.188
V  0.500  0.337  0.826
V  0.000  0.872  0.435
V  0.000  0.622  0.310
V  0.000  0.160  0.079
V  0.500  0.649  0.670
V  0.000  0.371  0.445
V  0.500  0.116  0.442
V  0.500  0.613  0.936
V  0.000  0.629  0.555
V  0.500  0.663  0.174
V  0.500  0.627  0.439
V  0.000  0.609  0.804
N  0.500  0.507  0.252
V  0.500  0.120  0.686
V  0.000  0.840  0.921
V  0.000  0.628  0.058
V  0.500  0.884  0.558
V  0.000  0.128  0.565

Properties
crystal system: monoclinic
space group: P2/m

---

HoPbAu: relaxed, r2SCAN.

Unit cell a=4.783 b=4.783 c=4.783 alpha=60.00 beta=60.00 gamma=60.00
Element x y z (fractional)
Au  0.250  0.250  0.250
Pb  0.000  0.000  0.000
Ho  0.500  0.500  0.500

Properties
crystal system: cubic
space group: F-43m

---

TbSi2Ni10: relaxed, r2SCAN.

Unit cell a=8.096 b=8.096 c=4.634 alpha=90.00 beta=90.00 gamma=90.00
Element x y z (fractional)
Ni  0.750  0.750  0.000
Ni  0.000  0.274  0.729
Si  0.750  0.750  0.500
Ni  0.250  0.750  0.000
Ni  0.147  0.000  0.762
Ni  0.000  0.147  0.238
Ni  0.226  0.500  0.729
Ni  0.274  0.000  0.271
Si  0.250  0.750  0.500
Ni  0.250  0.250  0.000
Ni  0.500  0.774  0.271
Tb  0.000  0.500  0.220
Ni  0.500  0.226  0.271
Ni  0.750  0.250  0.000
Si  0.250  0.250  0.500
Tb  0.500  0.000  0.780
Ni  0.000  0.853  0.238
Ni  0.726  0.000  0.271
Ni  0.647  0.500  0.238
Si  0.750  0.250  0.500
Ni  0.353  0.500  0.238
Ni  0.853  0.000  0.762
Ni  0.000  0.726  0.729
Ni  0.500  0.647  0.762
Ni  0.500  0.353  0.762
Ni  0.774  0.500  0.729

Properties
crystal system: tetragonal
space group: P4/nmm

---

Cs2CdI4: relaxed, r2SCAN.

Unit cell a=8.033 b=8.496 c=11.228 alpha=90.00 beta=112.08 gamma=90.00
Element x y z (fractional)
I  0.751  0.489  0.715
Cs  0.288  0.250  0.590
Cs  0.712  0.750  0.410
I  0.249  0.511  0.285
Cs  0.841  0.250  0.035
I  0.249  0.989  0.285
Cd  0.413  0.250  0.221
I  0.218  0.750  0.642
I  0.782  0.250  0.358
I  0.751  0.011  0.715
Cs  0.159  0.750  0.965
I  0.690  0.750  0.049
I  0.310  0.250  0.951
Cd  0.587  0.750  0.779

Properties
crystal system: monoclinic
space group: P2_1/m
E above lowest polymorph: 0.00 eV/f.u.

---

Rb3MnO3: relaxed, r2SCAN.

Unit cell a=6.898 b=7.046 c=11.858 alpha=90.00 beta=90.00 gamma=98.41
Element x y z (fractional)
Rb  0.659  0.856  0.488
O  0.728  0.700  0.884
O  0.272  0.300  0.116
O  0.700  0.727  0.124
O  0.300  0.273  0.876
Rb  0.469  0.996  0.209
O  0.700  0.227  0.376
Mn  0.158  0.156  0.996
Rb  0.341  0.144  0.512
Rb  0.008  0.574  0.226
O  0.901  0.591  0.572
Rb  0.659  0.356  0.012
O  0.099  0.409  0.428
Mn  0.842  0.344  0.496
O  0.099  0.909  0.072
Rb  0.531  0.004  0.791
O  0.728  0.200  0.616
Rb  0.992  0.926  0.726
O  0.272  0.800  0.384
Rb  0.008  0.074  0.274
Mn  0.158  0.656  0.504
O  0.901  0.091  0.928
Rb  0.531  0.504  0.709
O  0.300  0.773  0.624
Rb  0.992  0.426  0.774
Rb  0.469  0.496  0.291
Rb  0.341  0.644  0.988
Mn  0.842  0.844  0.004

Properties
crystal system: monoclinic
space group: P2_1/c

---

TmGePd: relaxed, r2SCAN.

Unit cell a=11.186 b=11.188 c=11.187 alpha=157.67 beta=140.57 gamma=45.79
Element x y z (fractional)
Pd  0.278  0.105  0.173
Tm  0.708  0.167  0.541
Tm  0.049  0.500  0.549
Pd  0.564  0.732  0.832
Tm  0.798  0.333  0.465
Pd  0.068  0.895  0.173
Tm  0.133  0.667  0.466
Ge  0.397  0.237  0.160
Ge  0.439  0.593  0.846
Pd  0.100  0.268  0.832
Ge  0.783  0.935  0.848
Tm  0.375  0.833  0.542
Tm  0.467  0.000  0.467
Pd  0.605  0.427  0.178
Ge  0.923  0.763  0.160
Pd  0.751  0.572  0.178
Ge  0.253  0.407  0.846
Ge  0.913  0.065  0.848

Properties
crystal system: orthorhombic
space group: Imm2

---

| no. | energy of formation (eV per atom) | total DFT energy (no corrections) (eV for the cell shown) |
| --- | --- | --- |
| 1 | -0.283 | -488.16 |
| 2 | -0.816 | -142.20 |
| 3 | -0.412 | -347.90 |
| 4 | -1.361 | -356.16 |
| 5 | -1.679 | -344.60 |
| 6 | -1.050 | -450.62 |